Record 1
Rb2ScAgF6 PBE optimized geometry; total DFT energy (no corrections) = -5.18 eV per atom; crystal system = cubic; V = 18.1 Å³ per atom; formation energy = -308.3 kJ per mole of atoms
1.0
0.000 4.493 4.493
4.493 0.000 4.493
4.493 4.493 0.000
Rb Sc Ag F
2 1 1 6
direct
0.250 0.250 0.250
0.750 0.750 0.750
0.000 0.000 0.000
0.500 0.500 0.500
0.227 0.227 0.773
0.227 0.773 0.227
0.227 0.773 0.773
0.773 0.227 0.227
0.773 0.227 0.773
0.773 0.773 0.227

Record 2
Rb2TaAgF6 PBE optimized geometry; total DFT energy (no corrections) = -5.24 eV per atom; crystal system = cubic; V = 27.5 Å³ per atom; formation energy = -260.6 kJ per mole of atoms
1.0
0.000 5.159 5.159
5.159 0.000 5.159
5.159 5.159 0.000
Rb Ta Ag F
2 1 1 6
direct
0.250 0.250 0.250
0.750 0.750 0.750
0.000 0.000 0.000
0.500 0.500 0.500
0.187 0.187 0.813
0.187 0.813 0.187
0.187 0.813 0.813
0.813 0.187 0.187
0.813 0.187 0.813
0.813 0.813 0.187

Record 3
Rb2TlAgF6 PBE optimized geometry; total DFT energy (no corrections) = -3.93 eV per atom; crystal system = cubic; V = 19.6 Å³ per atom; formation energy = -226.5 kJ per mole of atoms
1.0
0.000 4.610 4.610
4.610 0.000 4.610
4.610 4.610 0.000
Rb Tl Ag F
2 1 1 6
direct
0.250 0.250 0.250
0.750 0.750 0.750
0.000 0.000 0.000
0.500 0.500 0.500
0.240 0.240 0.760
0.240 0.760 0.240
0.240 0.760 0.760
0.760 0.240 0.240
0.760 0.240 0.760
0.760 0.760 0.240

Record 4
Rb2YAgF6 PBE optimized geometry; total DFT energy (no corrections) = -5.19 eV per atom; crystal system = cubic; V = 20.0 Å³ per atom; formation energy = -308.0 kJ per mole of atoms
1.0
0.000 4.638 4.638
4.638 0.000 4.638
4.638 4.638 0.000
Rb Y Ag F
2 1 1 6
direct
0.250 0.250 0.250
0.750 0.750 0.750
0.000 0.000 0.000
0.500 0.500 0.500
0.235 0.235 0.765
0.235 0.765 0.235
0.235 0.765 0.765
0.765 0.235 0.235
0.765 0.235 0.765
0.765 0.765 0.235